Entry 1:
Na6Hf3ZnSi2P4O24 | PBE | relaxed

Properties
Total magnetization   0.000 μB per atom
ΔE_f   -3001 meV/atom
Offset from the most stable computed form   0 meV per atom
SG   P1 (1)
Total energy after the MP2020 corrections   -931.07 eV for the cell shown

Cell: 9.092 9.095 22.489 Å, 89.78 90.03 119.85°
Element x y z (fractional)
Na 0.717 0.688 0.414
Na 0.666 0.973 0.587
Na 0.336 0.307 0.917
Na 0.648 0.301 0.828
Na 0.999 0.996 0.998
Na 0.971 0.668 0.919
Na 0.324 0.663 0.665
Na 0.633 0.615 0.741
Na 0.645 0.018 0.243
Na 0.665 0.684 0.079
Na 0.987 0.368 0.744
Na 0.327 0.666 0.163
Na 0.650 0.331 0.321
Na 0.983 0.619 0.239
Na 0.324 0.031 0.409
Na 0.001 0.994 0.497
Na 0.964 0.280 0.408
Na 0.023 0.340 0.086
O 0.840 0.536 0.029
O 0.644 0.526 0.647
O 0.529 0.700 0.253
O 0.298 0.827 0.254
O 0.363 0.873 0.857
O 0.644 0.153 0.421
O 0.178 0.195 0.697
O 0.975 0.816 0.092
O 0.856 0.361 0.924
O 0.175 0.982 0.202
O 0.014 0.204 0.197
O 0.682 0.527 0.245
O 0.351 0.494 0.079
O 0.819 0.827 0.911
O 0.863 0.499 0.422
O 0.161 0.465 0.975
O 0.187 0.180 0.091
O 0.540 0.691 0.977
O 0.131 0.496 0.858
O 0.684 0.535 0.527
O 0.201 0.197 0.809
O 0.804 0.782 0.310
O 0.497 0.153 0.923
O 0.484 0.362 0.138
O 0.471 0.316 0.749
O 0.012 0.815 0.696
O 0.449 0.310 0.026
O 0.358 0.487 0.362
O 0.216 0.014 0.314
O 0.495 0.114 0.636
O 0.508 0.870 0.358
O 0.641 0.107 0.147
O 0.345 0.858 0.574
O 0.200 0.029 0.588
O 0.152 0.648 0.079
O 0.844 0.530 0.751
O 0.842 0.317 0.250
O 0.139 0.490 0.576
O 0.819 0.011 0.801
O 0.796 0.982 0.690
O 0.165 0.981 0.910
O 0.530 0.845 0.474
O 0.303 0.471 0.751
O 0.023 0.821 0.414
O 0.123 0.635 0.359
O 0.477 0.147 0.248
O 0.183 0.197 0.414
O 0.459 0.146 0.525
O 0.164 0.687 0.750
O 0.885 0.513 0.146
O 0.534 0.830 0.750
O 0.154 0.677 0.469
O 0.997 0.802 0.807
O 0.162 0.479 0.253
O 0.298 0.839 0.972
O 0.691 0.160 0.746
O 0.519 0.852 0.080
O 0.835 0.029 0.090
O 0.642 0.495 0.923
O 0.317 0.467 0.472
O 0.800 0.824 0.198
O 0.507 0.638 0.859
O 0.505 0.664 0.581
O 0.977 0.171 0.588
O 0.884 0.356 0.644
O 0.687 0.155 0.036
O 0.836 0.825 0.586
O 0.843 0.308 0.532
O 0.987 0.198 0.310
O 0.026 0.189 0.911
O 0.505 0.369 0.421
O 0.818 0.983 0.413
Si 0.964 0.628 0.087
Si 0.041 0.375 0.916
Si 0.626 0.667 0.917
Si 0.336 0.964 0.915
Si 0.631 0.965 0.416
Si 0.668 0.630 0.587
P 0.706 0.000 0.747
P 0.375 0.041 0.583
P 0.295 0.001 0.255
P 0.337 0.376 0.417
P 0.705 0.703 0.252
P 0.042 0.662 0.416
P 0.373 0.334 0.084
P 0.003 0.707 0.751
P 0.293 0.293 0.751
P 0.001 0.297 0.253
P 0.962 0.335 0.587
P 0.666 0.037 0.089
Hf 0.337 0.675 0.814
Hf 0.006 0.997 0.645
Hf 0.337 0.667 0.313
Hf 0.668 0.338 0.484
Hf 0.338 0.665 0.522
Hf 0.332 0.674 0.018
Hf 0.008 0.002 0.149
Hf 0.996 0.001 0.854
Hf 0.668 0.331 0.980
Zn 0.995 0.999 0.346
Zn 0.653 0.330 0.679
Zn 0.664 0.334 0.177

Entry 2:
HfSiOs | PBE | relaxed

Properties
ΔE_f   -858 meV/atom
SG   Ima2 (46)

Cell: 7.604 7.604 7.604 Å, 128.03 121.77 81.81°
Element x y z (fractional)
Os 0.596 0.746 0.093
Os 0.153 0.746 0.650
Os 0.847 0.497 0.593
Os 0.404 0.497 0.150
Os 0.500 0.249 0.749
Os 0.000 0.249 0.249
Si 0.776 0.531 0.255
Si 0.339 0.829 0.502
Si 0.173 0.163 0.002
Si 0.224 0.479 0.755
Si 0.827 0.829 0.990
Si 0.661 0.163 0.490
Hf 0.753 0.920 0.667
Hf 0.029 0.051 0.522
Hf 0.449 0.494 0.545
Hf 0.551 0.095 0.045
Hf 0.247 0.914 0.167
Hf 0.971 0.493 0.022

Entry 3:
TiCr4N4 | PBE | relaxed

Properties
Total magnetization   0.240 μB per atom
ΔE_f   -731 meV/atom
SG   P-1 (2)
Total energy after the MP2020 corrections   -172.86 eV for the cell shown

Cell: 4.988 4.978 7.885 Å, 71.17 83.31 69.37°
Element x y z (fractional)
N 0.839 0.830 0.014
N 0.495 0.208 0.587
N 0.161 0.170 0.986
N 0.000 0.294 0.418
N 0.000 0.706 0.582
N 0.503 0.409 0.181
N 0.497 0.591 0.819
N 0.505 0.792 0.413
Ti 0.747 0.859 0.776
Ti 0.253 0.141 0.224
Cr 0.751 0.439 0.613
Cr 0.756 0.056 0.384
Cr 0.760 0.240 0.999
Cr 0.740 0.619 0.237
Cr 0.240 0.760 0.001
Cr 0.244 0.944 0.616
Cr 0.249 0.561 0.387
Cr 0.260 0.381 0.763

- Number 1 is which compound?
  Na6Hf3ZnSi2P4O24

- Which value of ΔE_f does entry 3 give?
  -731 meV/atom

- The lowest ΔE_f belongs to which entry?
  Na6Hf3ZnSi2P4O24

- Look up the ΔE_f of the first one.
  -3001 meV/atom